Run i
MgNi2O4 | PBE+U | optimized geometry

CIF file:
```
data_MgNi2O4
_symmetry_space_group_name_H-M 'I 41/a m d'
_symmetry_Int_Tables_number 141
_cell_length_a 5.684
_cell_length_b 5.684
_cell_length_c 8.927
_cell_angle_alpha 90.00
_cell_angle_beta 90.00
_cell_angle_gamma 90.00
loop_
_symmetry_equiv_pos_as_xyz
'x,y,z'
'-x,-y,-z'
'-y+1/4,x+3/4,z+1/4'
'y+1/4,-x+3/4,-z+1/4'
'-x+1/2,-y,z+1/2'
'x+1/2,y,-z+1/2'
'y+1/4,-x+1/4,z+3/4'
'-y+1/4,x+1/4,-z+3/4'
'x,-y,-z'
'-x,y,z'
'-y+1/4,-x+1/4,-z+3/4'
'y+1/4,x+1/4,z+3/4'
'-x+1/2,y,-z+1/2'
'x+1/2,-y,z+1/2'
'y+1/4,x+3/4,-z+1/4'
'-y+1/4,-x+3/4,z+1/4'
'x+1/2,y+1/2,z+1/2'
'-x+1/2,-y+1/2,-z+1/2'
'-y+3/4,x+1/4,z+3/4'
'y+3/4,-x+1/4,-z+3/4'
'-x,-y+1/2,z'
'x,y+1/2,-z'
'y+3/4,-x+3/4,z+1/4'
'-y+3/4,x+3/4,-z+1/4'
'x+1/2,-y+1/2,-z+1/2'
'-x+1/2,y+1/2,z+1/2'
'-y+3/4,-x+3/4,-z+1/4'
'y+3/4,x+3/4,z+1/4'
'-x,y+1/2,-z'
'x,-y+1/2,z'
'y+3/4,x+1/4,-z+3/4'
'-y+3/4,-x+1/4,z+3/4'
loop_
_atom_site_label
_atom_site_type_symbol
_atom_site_fract_x
_atom_site_fract_y
_atom_site_fract_z
Mg1 Mg 0.000 0.250 0.375
Ni1 Ni 0.000 0.000 0.000
O1 O 0.000 0.025 0.761
```

Properties
crystal system: tetragonal

Run ii
MgNi2O4 | PBE+U | optimized geometry

CIF file:
```
data_MgNi2O4
_symmetry_space_group_name_H-M 'C 1 2/m 1'
_symmetry_Int_Tables_number 12
_symmetry_space_group_name_Hall '-C 2y'
_cell_length_a 5.120
_cell_length_b 2.958
_cell_length_c 8.841
_cell_angle_alpha 90.00
_cell_angle_beta 90.13
_cell_angle_gamma 90.00
loop_
_atom_site_label
_atom_site_type_symbol
_atom_site_fract_x
_atom_site_fract_y
_atom_site_fract_z
Mg1 Mg 0.000 0.000 0.000
Ni1 Ni 0.000 0.000 0.290
O1 O 0.166 0.500 0.604
O2 O 0.167 0.500 0.141
```

Properties
crystal system: monoclinic
total magnetization: 4.00 Bohr magnetons per cell

Run iii
MgNi2O4 | PBE+U | optimized geometry

CIF file:
```
data_MgNi2O4
_symmetry_space_group_name_H-M 'P 1'
_symmetry_Int_Tables_number 1
_symmetry_space_group_name_Hall 'P 1'
_cell_length_a 3.049
_cell_length_b 3.073
_cell_length_c 9.059
_cell_angle_alpha 88.87
_cell_angle_beta 89.65
_cell_angle_gamma 60.39
loop_
_atom_site_label
_atom_site_type_symbol
_atom_site_fract_x
_atom_site_fract_y
_atom_site_fract_z
Mg1 Mg 0.000 0.000 0.000
Ni1 Ni 0.665 0.674 0.324
Ni2 Ni 0.666 0.668 0.732
O1 O 0.001 0.004 0.215
O2 O 0.330 0.341 0.425
O3 O 0.331 0.344 0.908
O4 O 0.998 0.010 0.647
```

Properties
crystal system: triclinic
total magnetization: 2.00 Bohr magnetons per cell

The winner here is run i, beating the second structure by 0.284 eV/atom.

Run i
MgNi2P2O8 | PBE+U | optimized geometry

CIF file:
```
data_MgNi2P2O8
_symmetry_space_group_name_H-M 'A m m 2'
_symmetry_Int_Tables_number 38
_symmetry_space_group_name_Hall 'A 2 -2'
_cell_length_a 6.304
_cell_length_b 5.404
_cell_length_c 8.191
_cell_angle_alpha 90.00
_cell_angle_beta 90.00
_cell_angle_gamma 90.00
loop_
_atom_site_label
_atom_site_type_symbol
_atom_site_fract_x
_atom_site_fract_y
_atom_site_fract_z
Mg1 Mg 0.000 0.000 0.000
Ni1 Ni 0.266 0.000 0.671
P1 P 0.000 0.000 0.333
P2 P 0.500 0.000 0.032
O1 O 0.000 0.230 0.208
O2 O 0.200 0.000 0.433
O3 O 0.297 0.000 0.923
O4 O 0.500 0.236 0.140
```

Properties
crystal system: orthorhombic
total magnetization: 8.00 Bohr magnetons per cell

Run ii
MgNi2P2O8 | PBE+U | optimized geometry

CIF file:
```
data_MgNi2P2O8
_symmetry_space_group_name_H-M 'C 1 2/c 1'
_symmetry_Int_Tables_number 15
_symmetry_space_group_name_Hall '-C 2yc'
_cell_length_a 17.064
_cell_length_b 4.940
_cell_length_c 16.347
_cell_angle_alpha 90.00
_cell_angle_beta 120.12
_cell_angle_gamma 90.00
loop_
_atom_site_label
_atom_site_type_symbol
_atom_site_fract_x
_atom_site_fract_y
_atom_site_fract_z
Mg1 Mg 0.149 0.206 0.127
Ni1 Ni 0.000 0.110 0.250
Ni2 Ni 0.098 0.202 0.469
Ni3 Ni 0.250 0.250 0.000
P1 P 0.022 0.300 0.613
P2 P 0.210 0.221 0.358
O1 O 0.026 0.385 0.111
O2 O 0.050 0.186 0.710
O3 O 0.077 0.218 0.963
O4 O 0.091 0.183 0.587
O5 O 0.119 0.227 0.358
O6 O 0.202 0.295 0.265
O7 O 0.227 0.066 0.562
O8 O 0.241 0.446 0.103
```

Properties
crystal system: monoclinic
total magnetization: 32.00 Bohr magnetons per cell

Run iii
MgNi2P2O8 | PBE+U | optimized geometry

CIF file:
```
data_MgNi2P2O8
_symmetry_space_group_name_H-M 'C 1 2/m 1'
_symmetry_Int_Tables_number 12
_symmetry_space_group_name_Hall '-C 2y'
_cell_length_a 8.177
_cell_length_b 5.481
_cell_length_c 6.511
_cell_angle_alpha 90.00
_cell_angle_beta 93.23
_cell_angle_gamma 90.00
loop_
_atom_site_label
_atom_site_type_symbol
_atom_site_fract_x
_atom_site_fract_y
_atom_site_fract_z
Mg1 Mg 0.000 0.000 0.000
Ni1 Ni 0.000 0.500 0.000
Ni2 Ni 0.000 0.500 0.500
P1 P 0.167 0.000 0.716
O1 O 0.044 0.226 0.746
O2 O 0.234 0.500 0.073
O3 O 0.241 0.500 0.475
```

Properties
crystal system: monoclinic
total magnetization: 8.00 Bohr magnetons per cell

The winner here is run ii, beating the second structure by 0.060 eV/atom.